Record 1
Below is an optimized crystal structure of Li2VC2O6, with properties calculated at the PBE+U level.

a = 6.496 Å, b = 8.718 Å, c = 9.935 Å
α = 75.99°, β = 77.65°, γ = 97.16°
Sites, in units of the cell vectors:
O1 0.676 0.300 0.867
O2 0.899 0.198 0.144
O3 0.908 0.254 0.689
O4 0.727 0.803 0.219
O5 0.408 0.253 0.189
O6 0.176 0.300 0.367
O7 0.747 0.949 0.591
O8 0.096 0.448 0.050
O9 0.155 0.248 0.943
O10 0.643 0.552 0.200
O11 0.655 0.248 0.443
O12 0.253 0.051 0.395
O13 0.374 0.751 0.516
O14 0.878 0.745 0.514
O15 0.378 0.745 0.014
O16 0.874 0.750 0.016
O17 0.399 0.198 0.643
O18 0.703 0.701 0.742
O19 0.227 0.803 0.718
O20 0.143 0.552 0.700
O21 0.595 0.448 0.551
O22 0.204 0.701 0.242
O23 0.754 0.051 0.895
O24 0.247 0.949 0.091
C1 0.777 0.802 0.615
C2 0.778 0.198 0.818
C3 0.747 0.698 0.145
C4 0.051 0.302 0.045
C5 0.247 0.698 0.645
C6 0.551 0.301 0.545
C7 0.278 0.198 0.318
C8 0.277 0.802 0.115
Li1 0.167 0.830 0.381
Li2 0.923 0.169 0.519
Li3 0.423 0.169 0.019
Li4 0.120 0.666 0.920
Li5 0.667 0.829 0.881
Li6 0.214 0.332 0.731
Li7 0.620 0.666 0.420
Li8 0.714 0.332 0.231
V1 0.939 0.000 0.055
V2 0.439 0.000 0.555
V3 0.314 0.500 0.180
V4 0.814 0.500 0.680

Output
Total magnetization = 0.00 μB/atom
V = 524.0 Å³ per cell
Relative energy among the computed polymorphs = 0.0331 eV/atom

***

Record 2
Below is an optimized crystal structure of BaMn8O16, with properties calculated at the PBE+U level.

a = 9.968 Å, b = 5.944 Å, c = 14.021 Å
α = 90.00°, β = 134.63°, γ = 90.00°
Sites, in units of the cell vectors:
Ba1 0.000 0.129 0.250
Ba2 0.000 0.871 0.750
Mn1 0.184 0.126 0.587
Mn2 0.184 0.374 0.084
Mn3 0.184 0.626 0.584
Mn4 0.184 0.874 0.087
Mn5 0.479 0.375 0.898
Mn6 0.479 0.625 0.398
Mn7 0.487 0.124 0.402
Mn8 0.487 0.876 0.902
Mn9 0.513 0.124 0.098
Mn10 0.513 0.876 0.598
Mn11 0.521 0.375 0.602
Mn12 0.521 0.625 0.102
Mn13 0.816 0.126 0.913
Mn14 0.816 0.374 0.416
Mn15 0.816 0.626 0.916
Mn16 0.816 0.874 0.413
O1 0.053 0.121 0.954
O2 0.053 0.879 0.454
O3 0.056 0.371 0.456
O4 0.056 0.629 0.956
O5 0.281 0.125 0.208
O6 0.281 0.875 0.708
O7 0.284 0.376 0.707
O8 0.284 0.624 0.207
O9 0.352 0.115 0.906
O10 0.352 0.885 0.406
O11 0.360 0.368 0.409
O12 0.360 0.632 0.909
O13 0.380 0.124 0.589
O14 0.380 0.876 0.089
O15 0.384 0.373 0.092
O16 0.384 0.627 0.592
O17 0.616 0.373 0.408
O18 0.616 0.627 0.908
O19 0.620 0.124 0.911
O20 0.620 0.876 0.411
O21 0.640 0.368 0.091
O22 0.640 0.632 0.591
O23 0.648 0.115 0.594
O24 0.648 0.885 0.094
O25 0.716 0.376 0.793
O26 0.716 0.624 0.293
O27 0.719 0.125 0.292
O28 0.719 0.875 0.792
O29 0.944 0.371 0.044
O30 0.944 0.629 0.544
O31 0.947 0.121 0.546
O32 0.947 0.879 0.046

Output
V = 591.2 Å³ per cell

***

Record 3
Below is an optimized crystal structure of NaFe4Mo5O20, with properties calculated at the PBE+U level.

a = 7.049 Å, b = 7.143 Å, c = 18.232 Å
α = 87.54°, β = 87.88°, γ = 79.42°
Sites, in units of the cell vectors:
Na1 0.119 0.333 0.302
Na2 0.881 0.667 0.698
Fe1 0.174 0.082 0.113
Fe2 0.185 0.827 0.493
Fe3 0.222 0.574 0.875
Fe4 0.250 0.301 0.734
Fe5 0.750 0.699 0.266
Fe6 0.778 0.426 0.125
Fe7 0.815 0.173 0.507
Fe8 0.826 0.918 0.887
Mo1 0.217 0.824 0.285
Mo2 0.249 0.544 0.087
Mo3 0.270 0.308 0.528
Mo4 0.272 0.061 0.904
Mo5 0.318 0.780 0.691
Mo6 0.682 0.220 0.309
Mo7 0.728 0.939 0.096
Mo8 0.730 0.692 0.472
Mo9 0.751 0.456 0.913
Mo10 0.783 0.176 0.715
O1 0.047 0.665 0.269
O2 0.087 0.385 0.125
O3 0.124 0.137 0.503
O4 0.140 0.877 0.881
O5 0.162 0.048 0.234
O6 0.170 0.788 0.111
O7 0.182 0.798 0.610
O8 0.197 0.880 0.378
O9 0.202 0.529 0.479
O10 0.207 0.119 0.996
O11 0.224 0.597 0.751
O12 0.230 0.283 0.845
O13 0.246 0.349 0.626
O14 0.252 0.534 0.990
O15 0.284 0.014 0.731
O16 0.437 0.293 0.331
O17 0.463 0.714 0.264
O18 0.479 0.035 0.104
O19 0.481 0.459 0.123
O20 0.486 0.787 0.493
O21 0.514 0.213 0.507
O22 0.519 0.541 0.877
O23 0.521 0.965 0.896
O24 0.537 0.286 0.736
O25 0.563 0.707 0.669
O26 0.716 0.986 0.269
O27 0.748 0.466 0.010
O28 0.754 0.651 0.374
O29 0.770 0.717 0.155
O30 0.776 0.403 0.249
O31 0.793 0.881 0.004
O32 0.798 0.471 0.521
O33 0.803 0.120 0.622
O34 0.818 0.202 0.390
O35 0.830 0.212 0.889
O36 0.838 0.952 0.766
O37 0.860 0.123 0.119
O38 0.876 0.863 0.497
O39 0.913 0.615 0.875
O40 0.953 0.335 0.731

Output
Total magnetization = 0.57 μB/atom
V = 901.0 Å³ per cell

***

Record 4
Below is an optimized crystal structure of Fe2Co4Ge2C21O21, with properties calculated at the PBE+U level.

a = 20.067 Å, b = 20.067 Å, c = 19.283 Å
α = 107.24°, β = 107.24°, γ = 26.96°
Sites, in units of the cell vectors:
Fe1 0.012 0.306 0.443
Fe2 0.022 0.771 0.681
Fe3 0.229 0.978 0.819
Fe4 0.306 0.012 0.943
Fe5 0.694 0.988 0.057
Fe6 0.771 0.022 0.181
Fe7 0.978 0.229 0.319
Fe8 0.988 0.694 0.557
Co1 0.091 0.519 0.744
Co2 0.121 0.768 0.503
Co3 0.232 0.879 0.997
Co4 0.325 0.344 0.209
Co5 0.344 0.325 0.709
Co6 0.360 0.494 0.527
Co7 0.481 0.909 0.756
Co8 0.494 0.360 0.027
Co9 0.506 0.640 0.973
Co10 0.519 0.091 0.244
Co11 0.640 0.506 0.473
Co12 0.656 0.675 0.291
Co13 0.675 0.656 0.791
Co14 0.768 0.121 0.003
Co15 0.879 0.232 0.497
Co16 0.909 0.481 0.256
Ge1 0.132 0.557 0.665
Ge2 0.133 0.674 0.572
Ge3 0.326 0.867 0.928
Ge4 0.443 0.868 0.835
Ge5 0.557 0.132 0.165
Ge6 0.674 0.133 0.072
Ge7 0.867 0.326 0.428
Ge8 0.868 0.443 0.335
C1 0.059 0.163 0.240
C2 0.067 0.072 0.321
C3 0.071 0.076 0.512
C4 0.072 0.067 0.821
C5 0.076 0.071 0.012
C6 0.094 0.293 0.263
C7 0.096 0.473 0.813
C8 0.107 0.298 0.442
C9 0.109 0.427 0.669
C10 0.119 0.196 0.518
C11 0.121 0.157 0.878
C12 0.131 0.524 0.504
C13 0.140 0.822 0.585
C14 0.157 0.121 0.378
C15 0.163 0.059 0.740
C16 0.163 0.776 0.440
C17 0.178 0.860 0.915
C18 0.193 0.438 0.261
C19 0.193 0.654 0.728
C20 0.196 0.119 0.018
C21 0.203 0.494 0.803
C22 0.212 0.605 0.445
C23 0.224 0.837 0.060
C24 0.237 0.379 0.121
C25 0.293 0.094 0.763
C26 0.298 0.107 0.942
C27 0.301 0.455 0.226
C28 0.346 0.434 0.024
C29 0.346 0.807 0.772
C30 0.379 0.237 0.621
C31 0.395 0.788 0.055
C32 0.416 0.480 0.974
C33 0.427 0.109 0.169
C34 0.431 0.488 0.614
C35 0.434 0.346 0.524
C36 0.438 0.193 0.761
C37 0.455 0.301 0.726
C38 0.473 0.096 0.313
C39 0.476 0.869 0.996
C40 0.480 0.416 0.474
C41 0.488 0.431 0.114
C42 0.494 0.203 0.303
C43 0.506 0.797 0.697
C44 0.512 0.569 0.886
C45 0.520 0.584 0.526
C46 0.524 0.131 0.004
C47 0.527 0.904 0.687
C48 0.545 0.699 0.274
C49 0.562 0.807 0.239
C50 0.566 0.654 0.476
C51 0.569 0.512 0.386
C52 0.573 0.891 0.831
C53 0.584 0.520 0.026
C54 0.605 0.212 0.945
C55 0.621 0.763 0.379
C56 0.654 0.193 0.228
C57 0.654 0.566 0.976
C58 0.699 0.545 0.774
C59 0.702 0.893 0.058
C60 0.707 0.906 0.237
C61 0.763 0.621 0.879
C62 0.776 0.163 0.940
C63 0.788 0.395 0.555
C64 0.797 0.506 0.197
C65 0.804 0.881 0.982
C66 0.807 0.346 0.272
C67 0.807 0.562 0.739
C68 0.822 0.140 0.085
C69 0.837 0.224 0.560
C70 0.837 0.941 0.260
C71 0.843 0.879 0.622
C72 0.860 0.178 0.415
C73 0.869 0.476 0.496
C74 0.879 0.843 0.122
C75 0.881 0.804 0.482
C76 0.891 0.573 0.331
C77 0.893 0.702 0.558
C78 0.904 0.527 0.187
C79 0.906 0.707 0.737
C80 0.924 0.929 0.988
C81 0.928 0.933 0.179
C82 0.929 0.924 0.488
C83 0.933 0.928 0.679
C84 0.941 0.837 0.760
O1 0.005 0.285 0.874
O2 0.033 0.873 0.181
O3 0.037 0.801 0.982
O4 0.095 0.447 0.858
O5 0.112 0.112 0.186
O6 0.112 0.112 0.686
O7 0.112 0.493 0.296
O8 0.114 0.371 0.622
O9 0.127 0.967 0.319
O10 0.131 0.190 0.069
O11 0.142 0.849 0.861
O12 0.151 0.858 0.639
O13 0.169 0.294 0.447
O14 0.170 0.415 0.066
O15 0.173 0.220 0.767
O16 0.190 0.131 0.569
O17 0.191 0.780 0.399
O18 0.192 0.580 0.388
O19 0.199 0.963 0.518
O20 0.212 0.419 0.464
O21 0.220 0.173 0.267
O22 0.220 0.809 0.101
O23 0.222 0.524 0.856
O24 0.239 0.498 0.024
O25 0.269 0.541 0.233
O26 0.285 0.005 0.374
O27 0.294 0.169 0.947
O28 0.298 0.587 0.763
O29 0.366 0.558 0.939
O30 0.371 0.114 0.122
O31 0.413 0.702 0.737
O32 0.415 0.170 0.566
O33 0.419 0.212 0.964
O34 0.420 0.808 0.112
O35 0.442 0.634 0.561
O36 0.447 0.095 0.358
O37 0.459 0.731 0.267
O38 0.475 0.486 0.167
O39 0.476 0.778 0.644
O40 0.486 0.475 0.667
O41 0.493 0.112 0.796
O42 0.498 0.239 0.524
O43 0.502 0.761 0.476
O44 0.507 0.888 0.204
O45 0.514 0.525 0.333
O46 0.524 0.222 0.356
O47 0.525 0.514 0.833
O48 0.541 0.269 0.733
O49 0.553 0.905 0.642
O50 0.558 0.366 0.439
O51 0.580 0.192 0.888
O52 0.581 0.788 0.036
O53 0.585 0.830 0.434
O54 0.587 0.298 0.263
O55 0.629 0.886 0.878
O56 0.634 0.442 0.061
O57 0.702 0.413 0.237
O58 0.706 0.831 0.053
O59 0.715 0.995 0.626
O60 0.731 0.459 0.767
O61 0.761 0.502 0.976
O62 0.778 0.476 0.144
O63 0.780 0.191 0.899
O64 0.780 0.827 0.733
O65 0.788 0.581 0.536
O66 0.801 0.037 0.482
O67 0.808 0.420 0.612
O68 0.809 0.220 0.601
O69 0.810 0.869 0.431
O70 0.827 0.780 0.233
O71 0.830 0.585 0.934
O72 0.831 0.706 0.553
O73 0.849 0.142 0.361
O74 0.858 0.151 0.139
O75 0.869 0.810 0.931
O76 0.873 0.033 0.681
O77 0.886 0.629 0.378
O78 0.888 0.507 0.704
O79 0.888 0.888 0.314
O80 0.888 0.888 0.814
O81 0.905 0.553 0.142
O82 0.963 0.199 0.018
O83 0.967 0.127 0.819
O84 0.995 0.715 0.126

Output
Total magnetization = 0.00 μB/atom
V = 3353.6 Å³ per cell

***

Record 5
Below is an optimized crystal structure of Li2MnP2O7, with properties calculated at the PBE+U level.

a = 8.194 Å, b = 8.194 Å, c = 9.924 Å
α = 93.43°, β = 93.43°, γ = 105.48°
Sites, in units of the cell vectors:
Li1 0.015 0.485 0.749
Li2 0.235 0.765 0.000
Li3 0.265 0.736 0.500
Li4 0.485 0.015 0.749
Li5 0.516 0.986 0.249
Li6 0.736 0.265 0.500
Li7 0.765 0.235 0.000
Li8 0.986 0.516 0.249
Mn1 0.004 0.004 0.999
Mn2 0.250 0.250 0.750
Mn3 0.507 0.507 0.500
Mn4 0.751 0.751 0.253
P1 0.075 0.850 0.712
P2 0.152 0.926 0.288
P3 0.351 0.576 0.212
P4 0.426 0.652 0.788
P5 0.576 0.351 0.212
P6 0.652 0.426 0.788
P7 0.850 0.075 0.712
P8 0.926 0.152 0.288
O1 0.003 0.770 0.309
O2 0.060 0.826 0.865
O3 0.073 0.688 0.630
O4 0.093 0.093 0.342
O5 0.175 0.941 0.135
O6 0.188 0.574 0.131
O7 0.232 0.999 0.691
O8 0.269 0.502 0.807
O9 0.314 0.928 0.370
O10 0.328 0.561 0.365
O11 0.409 0.409 0.158
O12 0.428 0.813 0.871
O13 0.443 0.677 0.636
O14 0.500 0.733 0.192
O15 0.502 0.269 0.807
O16 0.561 0.328 0.365
O17 0.574 0.188 0.131
O18 0.593 0.593 0.843
O19 0.677 0.443 0.636
O20 0.688 0.073 0.630
O21 0.733 0.500 0.192
O22 0.770 0.003 0.309
O23 0.813 0.428 0.871
O24 0.826 0.060 0.865
O25 0.908 0.908 0.657
O26 0.928 0.314 0.370
O27 0.941 0.175 0.135
O28 0.999 0.232 0.691

Output
Total magnetization = 0.00 μB/atom
V = 639.0 Å³ per cell
Relative energy among the computed polymorphs = 0.0823 eV/atom

***

no.,final energy (eV/cell)
1,-313.2
2,-362.0
3,-414.2
4,-1443.7
5,-332.1